PBE PuO2, optimized geometry; symmetry = P4_2/mnm, No. 136; calculated total energy = -11.1568 eV per atom
1.0
5.080 0.000 0.000
0.000 5.080 0.000
0.000 0.000 3.546
O Pu
4 2
direct
0.689 0.311 0.500
0.189 0.189 0.000
0.811 0.811 0.000
0.311 0.689 0.500
0.000 0.000 0.500
0.500 0.500 0.000